# 1
First-principles (GGA+U) data for a relaxed Li7Mn5O12 crystal, as listed in the Materials Project database.

Calculated values
Space-group type: No. 1
ΔH_f (0 K) (eV/atom): -2.1394

```
Li7Mn5O12
1.0
6.0128 0.0000 0.0000
-0.1951 6.0122 0.0000
-1.4475 -1.5230 6.1156
Li Mn O
7 5 12
direct
0.0000 0.0000 0.0000
0.0137 0.5070 0.0048
0.3352 0.3338 0.3236
0.3588 0.8038 0.3267
0.5055 0.4963 0.0004
0.6503 0.1892 0.6728
0.6758 0.6657 0.6778
0.1720 0.1684 0.6696
0.1817 0.6610 0.6660
0.5009 0.9962 0.0040
0.8280 0.3399 0.3309
0.8349 0.8309 0.3308
0.0476 0.0997 0.3482
0.1076 0.5903 0.3485
0.2605 0.7550 0.9811
0.2691 0.2196 0.9829
0.3859 0.4191 0.6641
0.4231 0.8965 0.6838
0.5621 0.0767 0.3179
0.6237 0.5811 0.3356
0.7342 0.2311 0.0071
0.7345 0.7766 0.0169
0.9320 0.4403 0.6639
0.9582 0.9013 0.6544
```

# 2
First-principles (GGA+U) data for a relaxed Ca2Cr2Si3O12 crystal, as listed in the Materials Project database.

Calculated values
Space-group type: No. 142
ΔH_f (0 K) (eV/atom): -2.8953

```
Ca2Cr2Si3O12
1.0
-6.0304 6.0304 5.9415
6.0304 -6.0304 5.9415
6.0304 6.0304 -5.9415
Ca Cr Si O
8 8 12 48
direct
0.1280 0.2500 0.3780
0.2500 0.3720 0.1220
0.2500 0.8720 0.6220
0.3720 0.7500 0.1220
0.6280 0.2500 0.8780
0.7500 0.1280 0.3780
0.7500 0.6280 0.8780
0.8720 0.7500 0.6220
0.0000 0.0000 0.0000
0.0000 0.0000 0.5000
0.0000 0.5000 0.0000
0.0000 0.5000 0.5000
0.5000 0.0000 0.0000
0.5000 0.0000 0.5000
0.5000 0.5000 0.0000
0.5000 0.5000 0.5000
0.1240 0.7500 0.8740
0.1250 0.8750 0.2500
0.2500 0.1240 0.8740
0.2500 0.6240 0.3740
0.3750 0.6250 0.7500
0.3760 0.2500 0.6260
0.6240 0.7500 0.3740
0.6250 0.3750 0.2500
0.7500 0.3760 0.6260
0.7500 0.8760 0.1260
0.8750 0.1250 0.7500
0.8760 0.2500 0.1260
0.0041 0.3097 0.8968
0.0097 0.2011 0.1164
0.0847 0.7011 0.6915
0.0871 0.8927 0.3968
0.1073 0.0041 0.1944
0.1067 0.9903 0.6915
0.1094 0.6116 0.4180
0.1116 0.6094 0.9180
0.1903 0.4959 0.6032
0.1914 0.1936 0.5820
0.1936 0.1116 0.0022
0.2011 0.5847 0.1915
0.2989 0.4903 0.3836
0.3064 0.3086 0.9180
0.3086 0.8906 0.0022
0.3097 0.9129 0.3056
0.3884 0.3064 0.4978
0.3906 0.8086 0.5022
0.3933 0.0847 0.8836
0.3927 0.5871 0.8968
0.4129 0.8097 0.8056
0.4153 0.1067 0.6164
0.4903 0.6067 0.1915
0.4959 0.3927 0.3056
0.5041 0.6073 0.6944
0.5097 0.3933 0.8085
0.5847 0.8933 0.3836
0.5871 0.1903 0.1944
0.6073 0.4129 0.1032
0.6067 0.9153 0.1164
0.6094 0.1914 0.4978
0.6116 0.6936 0.5022
0.6903 0.0871 0.6944
0.6914 0.1094 0.9978
0.6936 0.6914 0.0820
0.7011 0.5097 0.6164
0.7989 0.4153 0.8085
0.8064 0.8884 0.9978
0.8086 0.8064 0.4180
0.8097 0.5041 0.3968
0.8884 0.3906 0.0820
0.8906 0.3884 0.5820
0.8933 0.0097 0.3085
0.8927 0.9959 0.8056
0.9129 0.1073 0.6032
0.9153 0.2989 0.3085
0.9903 0.7989 0.8836
0.9959 0.6903 0.1032
```